24
Lattice="4.946 0.000 0.000 0.000 6.146 0.000 -0.020 0.000 10.502" Properties=species:S:1:pos:R:3 comment="CrSbP2O8, relaxed, DFT GGA+U" delta_e_f_ev_per_fu=-28.69 pbc="T T T"
Cr 0.272 1.537 2.261
Cr 4.655 4.610 8.241
Sb 2.249 1.537 7.660
Sb 2.678 4.610 2.842
P 0.421 4.610 0.869
P 1.811 4.610 6.427
P 3.115 1.537 4.075
P 4.506 1.537 9.633
O 0.792 4.610 9.899
O 1.044 3.429 7.193
O 1.044 5.790 7.193
O 1.095 3.387 1.627
O 1.095 5.832 1.627
O 1.087 1.537 9.449
O 1.531 4.610 4.949
O 1.623 1.537 3.739
O 3.304 4.610 6.763
O 3.396 1.537 5.553
O 3.839 4.610 1.053
O 3.831 0.314 8.874
O 3.831 2.759 8.874
O 3.883 0.356 3.309
O 3.883 2.717 3.309
O 4.135 1.537 0.603

92
Lattice="7.965 0.000 0.000 0.000 13.253 0.000 0.000 0.000 10.862" Properties=species:S:1:pos:R:3 comment="CoPH12O9, relaxed, DFT GGA+U" delta_e_f_ev_per_fu=-20.04 pbc="T T T"
Co 0.000 0.000 1.578
Co 0.000 0.000 9.284
Co 3.982 6.627 1.578
Co 3.982 6.627 9.284
P 1.105 6.400 0.000
P 2.877 13.026 0.000
P 5.088 0.227 0.000
P 6.860 6.854 0.000
H 0.144 3.755 2.685
H 0.144 3.755 8.178
H 0.272 3.288 0.376
H 0.272 3.288 10.487
H 0.597 8.157 2.414
H 0.597 8.157 8.449
H 1.062 2.246 4.122
H 1.062 2.246 6.740
H 1.156 5.908 5.431
H 1.245 10.143 5.431
H 1.321 8.544 5.431
H 1.399 13.138 5.431
H 2.584 6.511 5.431
H 2.662 1.917 5.431
H 2.737 3.516 5.431
H 2.827 12.534 5.431
H 2.921 8.873 4.122
H 2.921 8.873 6.740
H 3.385 1.530 2.414
H 3.385 1.530 8.449
H 3.710 9.915 0.376
H 3.710 9.915 10.487
H 3.838 10.382 2.685
H 3.838 10.382 8.178
H 4.127 2.871 2.685
H 4.127 2.871 8.178
H 4.255 3.339 0.376
H 4.255 3.339 10.487
H 4.580 11.723 2.414
H 4.580 11.723 8.449
H 5.044 4.381 4.122
H 5.044 4.381 6.740
H 5.138 0.719 5.431
H 5.228 9.737 5.431
H 5.303 11.336 5.431
H 5.381 6.743 5.431
H 6.566 0.116 5.431
H 6.644 4.709 5.431
H 6.720 3.110 5.431
H 6.809 7.346 5.431
H 6.903 11.007 4.122
H 6.903 11.007 6.740
H 7.367 5.097 2.414
H 7.367 5.097 8.449
H 7.692 9.965 0.376
H 7.692 9.965 10.487
H 7.821 9.498 2.685
H 7.821 9.498 8.178
O 0.278 1.979 3.565
O 0.278 1.979 7.297
O 0.292 4.721 2.564
O 0.292 4.721 8.298
O 0.939 1.310 2.448
O 0.939 1.310 8.414
O 1.319 12.947 0.000
O 1.638 6.750 5.431
O 1.850 9.379 5.431
O 2.132 2.752 5.431
O 2.344 0.123 5.431
O 2.664 6.320 0.000
O 3.043 7.936 2.448
O 3.043 7.936 8.414
O 3.691 11.348 2.564
O 3.691 11.348 8.298
O 3.704 8.606 3.565
O 3.704 8.606 7.297
O 4.261 4.648 3.565
O 4.261 4.648 7.297
O 4.274 1.906 2.564
O 4.274 1.906 8.298
O 4.922 5.317 2.448
O 4.922 5.317 8.414
O 5.301 6.933 0.000
O 5.621 13.130 5.431
O 5.833 10.501 5.431
O 6.115 3.874 5.431
O 6.327 6.504 5.431
O 6.646 0.306 0.000
O 7.026 11.944 2.448
O 7.026 11.944 8.414
O 7.673 8.533 2.564
O 7.673 8.533 8.298
O 7.687 11.274 3.565
O 7.687 11.274 7.297

62
Lattice="2.923 0.000 0.000 0.000 9.044 0.000 0.000 0.000 25.151" Properties=species:S:1:pos:R:3 comment="Li4TiMn8O18, relaxed, DFT GGA+U" delta_e_f_ev_per_fu=-66.17 pbc="T T T"
Li 0.000 0.521 0.000
Li 0.000 0.671 19.926
Li 0.000 3.957 14.737
Li 0.000 3.961 20.469
Li 0.000 5.083 7.894
Li 0.000 5.087 2.162
Li 0.000 8.373 7.350
Li 0.000 8.523 12.575
Ti 0.000 2.248 17.301
Ti 0.000 6.796 4.725
Mn 0.000 2.084 2.541
Mn 0.000 2.211 22.620
Mn 0.000 2.295 7.387
Mn 0.000 2.446 12.086
Mn 0.000 6.598 24.661
Mn 0.000 6.749 19.962
Mn 0.000 6.833 10.045
Mn 0.000 6.961 15.117
Mn 1.462 0.906 15.040
Mn 1.462 0.966 9.523
Mn 1.462 3.620 5.193
Mn 1.462 3.651 24.783
Mn 1.462 5.393 12.208
Mn 1.462 5.424 17.768
Mn 1.462 8.079 22.099
Mn 1.462 8.139 2.465
O 0.000 0.303 22.119
O 0.000 0.542 16.274
O 0.000 1.279 13.847
O 0.000 2.264 9.307
O 0.000 2.345 5.463
O 0.000 3.282 0.838
O 0.000 4.034 23.575
O 0.000 4.146 17.677
O 0.000 4.898 5.101
O 0.000 5.010 10.999
O 0.000 5.762 13.414
O 0.000 6.699 18.038
O 0.000 6.780 21.882
O 0.000 7.765 1.272
O 0.000 8.502 3.699
O 0.000 8.741 9.544
O 1.462 0.865 7.578
O 1.462 0.940 1.828
O 1.462 1.292 11.442
O 1.462 1.785 18.420
O 1.462 1.853 23.975
O 1.462 2.642 21.412
O 1.462 2.677 15.867
O 1.462 3.177 3.265
O 1.462 3.550 12.813
O 1.462 3.696 7.239
O 1.462 5.348 19.815
O 1.462 5.494 0.238
O 1.462 5.867 15.840
O 1.462 6.367 3.292
O 1.462 6.402 8.837
O 1.462 7.191 11.400
O 1.462 7.259 5.845
O 1.462 7.752 24.018
O 1.462 8.105 14.404
O 1.462 8.179 20.153

50
Lattice="-5.225 5.225 6.609 5.225 -5.225 6.609 5.225 5.225 -6.609" Properties=species:S:1:pos:R:3 comment="NaCr12Si8BrO28, relaxed, DFT GGA+U" delta_e_f_ev_per_fu=-130.08 pbc="T T T"
Na 0.000 0.000 0.000
Cr 5.225 2.823 -3.349
Cr 5.225 1.827 -0.511
Cr 2.823 5.225 -3.349
Cr 2.401 0.000 3.260
Cr 5.225 2.817 2.347
Cr 1.827 5.225 -0.511
Cr 3.398 0.000 6.098
Cr 0.000 2.401 3.260
Cr 2.817 5.225 2.347
Cr 2.408 0.000 8.955
Cr 0.000 3.398 6.098
Cr 0.000 2.408 8.955
Si 2.265 2.265 -1.980
Si 2.960 -2.960 4.629
Si 2.276 2.276 0.964
Si 2.949 -2.949 7.572
Si -2.960 2.960 4.629
Si 2.960 2.960 4.629
Si -2.949 2.949 7.572
Si 2.949 2.949 7.572
Br 0.000 0.000 5.780
O 3.742 3.742 -4.446
O 1.482 -1.482 2.162
O 3.879 1.938 -2.057
O 6.570 1.938 -2.057
O 1.704 1.704 -0.504
O 3.521 -3.521 6.105
O 1.938 3.879 -2.057
O 3.287 -1.346 4.552
O 3.886 1.944 1.042
O 6.563 1.944 1.042
O 3.742 6.707 -4.446
O 1.482 1.482 2.162
O 1.944 3.886 1.042
O 3.281 -1.339 7.650
O 1.938 6.570 -2.057
O 3.287 1.346 4.552
O 3.734 3.734 3.412
O 1.490 -1.490 10.021
O -1.346 3.287 4.552
O 1.346 3.287 4.552
O 1.944 6.563 1.042
O 3.281 1.339 7.650
O -3.521 3.521 6.105
O 3.521 3.521 6.105
O -1.339 3.281 7.650
O 1.339 3.281 7.650
O -1.490 1.490 10.021
O 1.490 1.490 10.021

44
Lattice="4.314 2.491 8.554 -4.314 2.491 8.554 0.000 -4.982 8.554" Properties=species:S:1:pos:R:3 comment="FeP3H6O12, relaxed, DFT GGA+U" delta_e_f_ev_per_fu=-43.27 pbc="T T T"
Fe 0.000 0.000 0.000
Fe 0.000 0.000 12.831
P -2.560 0.548 10.693
P -1.754 -1.943 14.970
P 0.805 -2.491 10.693
P -0.805 2.491 14.970
P 1.754 1.943 10.693
P 2.560 -0.548 14.970
H -1.428 -3.755 11.130
H -3.966 -0.640 14.533
H -1.428 -1.227 10.256
H -2.538 3.115 11.130
H -1.777 0.624 15.407
H -0.348 1.851 10.256
H 0.348 -1.851 15.407
H 1.777 -0.624 10.256
H 2.538 -3.115 14.533
H 1.428 1.227 15.407
H 3.966 0.640 11.130
H 1.428 3.755 14.533
O -3.859 0.222 11.517
O -2.192 -0.740 9.869
O -2.122 -3.231 14.146
O -0.080 -3.331 9.760
O -2.844 1.735 9.760
O -2.925 -1.596 15.902
O -1.470 -0.756 14.037
O -0.080 -1.651 11.625
O -1.390 0.895 11.625
O -0.456 -2.269 15.794
O 1.737 -3.453 11.517
O 1.737 -1.529 9.869
O -1.737 1.529 15.794
O -1.737 3.453 14.146
O 0.456 2.269 9.869
O 1.390 -0.895 14.037
O 0.080 1.651 14.037
O 1.470 0.756 11.625
O 2.925 1.596 9.760
O 2.844 -1.735 15.902
O 0.080 3.331 15.902
O 2.122 3.231 11.517
O 2.192 0.740 15.794
O 3.859 -0.222 14.146

48
Lattice="8.781 -2.566 0.000 8.781 2.566 0.000 -7.771 0.000 13.828" Properties=species:S:1:pos:R:3 comment="VPO4, relaxed, DFT GGA+U" delta_e_f_ev_per_fu=-15.19 pbc="T T T"
V 4.390 1.283 0.000
V 2.816 1.506 7.150
V 2.952 1.725 10.371
V 3.089 1.506 13.592
V 0.505 -1.283 6.914
V 6.702 -1.506 0.236
V 6.838 -1.725 3.457
V 6.974 -1.506 6.678
P 0.004 1.406 8.895
P 5.671 1.088 5.305
P 8.005 1.088 1.609
P 5.901 1.406 11.847
P 3.889 -1.406 1.981
P 1.785 -1.088 12.219
P 4.120 -1.088 8.523
P 9.787 -1.406 4.933
O -0.483 1.207 10.256
O 5.642 1.952 4.033
O 1.579 1.501 8.769
O 6.856 1.633 0.690
O 8.034 1.952 2.881
O -0.382 0.227 7.851
O 4.317 1.189 6.010
O 6.820 1.633 6.224
O 3.504 -0.227 0.937
O -2.307 0.013 12.762
O 1.578 -0.013 5.848
O 9.359 1.189 0.904
O 4.326 1.501 11.973
O 3.783 0.418 8.818
O 2.122 0.418 11.924
O 6.387 1.207 10.486
O 3.403 -1.207 3.342
O 7.669 -0.418 1.904
O 6.007 -0.418 5.010
O 5.465 -1.501 1.855
O 0.432 -1.189 12.924
O 8.212 0.013 7.980
O 12.098 -0.013 1.066
O 6.287 0.227 12.891
O 2.970 -1.633 7.604
O 5.473 -1.189 7.817
O 10.172 -0.227 5.977
O 1.757 -1.952 10.947
O 2.935 -1.633 13.138
O 8.211 -1.501 5.059
O 4.148 -1.952 9.795
O 10.273 -1.207 3.572

36
Lattice="7.429 0.000 0.000 0.000 7.954 0.000 0.000 0.000 10.271" Properties=species:S:1:pos:R:3 comment="NaCrNO6, relaxed, DFT GGA+U" delta_e_f_ev_per_fu=-2.13 pbc="T T T"
Na 0.704 1.284 2.202
Na 3.010 6.670 7.338
Na 4.419 2.693 8.068
Na 6.725 5.261 2.933
Cr 0.891 1.086 9.222
Cr 2.824 6.868 4.086
Cr 4.605 2.891 1.049
Cr 6.538 5.063 6.184
N 0.611 1.132 5.531
N 3.104 6.822 0.396
N 4.325 2.845 4.739
N 6.818 5.109 9.875
O 0.634 5.378 7.202
O 0.632 7.717 10.118
O 1.033 2.373 10.198
O 1.259 3.656 2.939
O 1.313 4.057 7.583
O 1.510 7.063 3.114
O 2.204 0.891 8.249
O 2.402 3.897 2.448
O 2.456 4.298 8.075
O 2.682 5.581 5.063
O 3.082 0.237 4.982
O 3.081 2.576 2.066
O 4.347 4.214 0.153
O 4.348 6.553 3.069
O 4.747 1.604 0.073
O 4.973 0.321 7.331
O 5.027 7.874 2.688
O 5.225 4.868 7.157
O 5.919 3.086 2.022
O 6.116 0.080 7.823
O 6.170 7.633 2.196
O 6.396 6.350 5.208
O 6.795 1.401 8.205
O 6.797 3.740 5.288

37
Lattice="3.961 0.000 0.000 0.051 3.991 0.000 1.946 1.772 31.803" Properties=species:S:1:pos:R:3 comment="Pr10Ni5O22, relaxed, DFT GGA+U" delta_e_f_ev_per_fu=-90.60 pbc="T T T"
Pr 0.000 0.000 0.000
Pr 1.877 5.457 28.387
Pr 1.811 1.724 18.763
Pr 1.971 2.021 15.259
Pr 1.850 2.097 6.101
Pr 1.871 2.066 2.797
Pr 3.950 3.926 25.210
Pr 4.101 4.025 21.677
Pr 3.834 3.748 12.250
Pr 3.757 3.914 8.907
Ni 2.028 1.915 23.248
Ni 1.792 1.992 10.529
Ni 3.859 3.650 29.982
Ni 3.947 3.802 17.151
Ni 3.749 4.090 4.430
O 1.888 3.522 29.892
O 1.993 3.916 23.725
O 2.076 1.430 21.170
O 1.959 3.894 16.909
O 1.901 2.457 12.925
O 1.830 3.994 10.603
O 1.713 2.267 8.417
O 1.255 1.974 0.624
O 1.767 4.088 4.543
O 3.078 1.951 26.139
O 3.991 5.640 30.331
O 3.880 4.075 27.920
O 4.007 2.009 23.162
O 3.833 1.815 17.306
O 4.589 1.936 26.197
O 3.927 3.516 14.946
O 3.968 0.896 14.383
O 3.772 1.877 10.615
O 3.592 4.159 6.673
O 4.380 3.741 19.379
O 3.362 4.035 2.277
O 3.841 2.096 4.473